Record 1
VASP calculation (PBE) on a geometry-optimized K7Hg31 structure.

```
K7Hg31
1.0
11.534 0.000 0.000
-5.767 9.989 0.000
0.000 0.000 10.376
K Hg
7 31
direct
0.000 0.000 0.000
0.168 0.335 0.500
0.168 0.832 0.500
0.333 0.667 0.000
0.665 0.832 0.500
0.667 0.333 0.203
0.667 0.333 0.797
0.000 0.000 0.359
0.000 0.000 0.641
0.022 0.511 0.300
0.022 0.511 0.700
0.171 0.343 0.167
0.171 0.343 0.833
0.171 0.829 0.167
0.171 0.829 0.833
0.290 0.145 0.265
0.290 0.145 0.735
0.333 0.667 0.354
0.333 0.667 0.646
0.399 0.063 0.000
0.399 0.336 0.000
0.473 0.236 0.500
0.489 0.511 0.300
0.489 0.511 0.700
0.489 0.978 0.300
0.489 0.978 0.700
0.657 0.829 0.167
0.657 0.829 0.833
0.664 0.063 0.000
0.664 0.601 0.000
0.764 0.236 0.500
0.764 0.527 0.500
0.855 0.145 0.265
0.855 0.145 0.735
0.855 0.710 0.265
0.855 0.710 0.735
0.937 0.336 0.000
0.937 0.601 0.000
```

Properties
Crystal system: hexagonal
ΔE_f: -17.0 kJ/mol of atoms
Calculated total energy: -0.63 eV per atom

***

Record 2
VASP calculation (PBE) on a geometry-optimized CdFeP2S6 structure.

```
CdFeP2S6
1.0
3.066 -5.315 0.000
3.066 5.315 0.000
-2.060 0.000 6.785
Cd Fe P S
1 1 2 6
direct
0.000 0.000 0.000
0.345 0.655 0.000
0.615 0.281 0.835
0.719 0.385 0.165
0.083 0.443 0.244
0.279 0.284 0.757
0.436 0.074 0.238
0.557 0.917 0.756
0.716 0.721 0.243
0.926 0.564 0.762
```

Properties
Crystal system: monoclinic
MP2020-corrected energy: -5.107 eV per atom
ΔE_f: -58.2 kJ/mol of atoms
Calculated total energy: -4.80 eV per atom

***

Record 3
VASP calculation (PBE) on a geometry-optimized InGaAs2 structure.

```
InGaAs2
1.0
2.114 1.221 6.901
-2.114 1.221 6.901
0.000 -2.442 6.901
In Ga As
1 1 2
direct
0.000 0.000 0.000
0.500 0.500 0.500
0.380 0.380 0.380
0.871 0.871 0.871
```

Properties
Crystal system: trigonal
E above lowest polymorph: 0.0162 eV/atom
ΔE_f: -24.9 kJ/mol of atoms
Calculated total energy: -4.03 eV per atom

***

Record 4
VASP calculation (PBE) on a geometry-optimized Na3ZrInSiP2O12 structure.

```
Na3ZrInSiP2O12
1.0
7.939 -4.591 0.000
7.939 4.591 0.000
-0.021 0.000 22.637
Na Zr In Si P O
18 6 6 6 12 72
direct
0.002 0.998 0.500
0.031 0.643 0.590
0.037 0.294 0.082
0.294 0.037 0.582
0.316 0.971 0.925
0.318 0.346 0.167
0.346 0.318 0.667
0.355 0.635 0.751
0.366 0.985 0.250
0.635 0.355 0.251
0.643 0.031 0.090
0.660 0.673 0.334
0.673 0.660 0.834
0.692 0.968 0.414
0.968 0.692 0.914
0.971 0.316 0.425
0.985 0.366 0.750
0.998 0.002 0.000
0.000 0.985 0.153
0.325 0.327 0.320
0.327 0.325 0.820
0.656 0.656 0.487
0.656 0.656 0.987
0.985 0.000 0.653
0.002 0.983 0.354
0.327 0.329 0.521
0.329 0.327 0.021
0.663 0.667 0.188
0.667 0.663 0.688
0.983 0.002 0.854
0.026 0.326 0.923
0.326 0.026 0.423
0.360 0.964 0.089
0.696 0.994 0.258
0.964 0.360 0.589
0.994 0.696 0.758
0.028 0.626 0.426
0.291 0.992 0.756
0.296 0.694 0.255
0.328 0.623 0.921
0.363 0.661 0.593
0.623 0.328 0.421
0.626 0.028 0.926
0.659 0.957 0.587
0.661 0.363 0.093
0.694 0.296 0.755
0.957 0.659 0.087
0.992 0.291 0.256
0.013 0.796 0.700
0.015 0.155 0.916
0.020 0.171 0.202
0.120 0.557 0.485
0.128 0.349 0.866
0.132 0.508 0.374
0.136 0.511 0.081
0.137 0.294 0.983
0.153 0.340 0.587
0.154 0.305 0.260
0.155 0.015 0.416
0.169 0.989 0.091
0.171 0.020 0.702
0.172 0.509 0.758
0.172 0.801 0.918
0.185 0.788 0.200
0.187 0.827 0.593
0.213 0.966 0.813
0.225 0.805 0.310
0.294 0.137 0.483
0.304 0.536 0.975
0.305 0.154 0.760
0.305 0.521 0.259
0.334 0.512 0.585
0.340 0.153 0.087
0.347 0.519 0.864
0.349 0.128 0.366
0.456 0.644 0.651
0.459 0.848 0.031
0.462 0.684 0.540
0.464 0.832 0.749
0.470 0.883 0.149
0.477 0.662 0.249
0.486 0.643 0.925
0.504 0.845 0.426
0.508 0.132 0.874
0.509 0.172 0.258
0.511 0.136 0.581
0.512 0.334 0.085
0.519 0.347 0.364
0.521 0.305 0.759
0.536 0.304 0.475
0.557 0.120 0.985
0.620 0.881 0.641
0.627 0.856 0.925
0.643 0.486 0.425
0.644 0.456 0.151
0.660 0.837 0.254
0.662 0.477 0.749
0.682 0.846 0.531
0.684 0.462 0.040
0.788 0.185 0.700
0.795 0.980 0.319
0.796 0.013 0.200
0.801 0.172 0.418
0.805 0.225 0.810
0.809 0.990 0.920
0.827 0.187 0.093
0.829 0.955 0.593
0.832 0.464 0.249
0.837 0.660 0.754
0.845 0.504 0.926
0.846 0.682 0.031
0.848 0.459 0.531
0.856 0.627 0.425
0.881 0.620 0.141
0.883 0.470 0.649
0.955 0.829 0.093
0.966 0.213 0.313
0.980 0.795 0.819
0.989 0.169 0.591
0.990 0.809 0.420
```

Properties
Crystal system: monoclinic
MP2020-corrected energy: -7.365 eV per atom
E above lowest polymorph: 0.0000 eV/atom
ΔE_f: -272.1 kJ/mol of atoms
Calculated total energy: -6.95 eV per atom

***

Record 5
VASP calculation (PBE) on a geometry-optimized BaAuCl structure.

```
BaAuCl
1.0
0.000 3.701 3.701
3.701 0.000 3.701
3.701 3.701 0.000
Ba Au Cl
1 1 1
direct
0.000 0.000 0.000
0.500 0.500 0.500
0.750 0.750 0.750
```

Properties
Crystal system: cubic
MP2020-corrected energy: -3.775 eV per atom
ΔE_f: -137.8 kJ/mol of atoms
Calculated total energy: -3.57 eV per atom

***

Record 6
VASP calculation (PBE) on a geometry-optimized BaTl2O4 structure.

```
BaTl2O4
1.0
5.294 -3.133 0.000
5.294 3.133 0.000
-0.077 0.000 22.138
Ba Tl O
6 12 24
direct
0.112 0.888 0.750
0.215 0.454 0.144
0.454 0.215 0.644
0.546 0.785 0.356
0.785 0.546 0.856
0.888 0.112 0.250
0.129 0.870 0.931
0.130 0.871 0.569
0.211 0.456 0.305
0.212 0.465 0.446
0.456 0.211 0.805
0.465 0.212 0.946
0.535 0.788 0.054
0.544 0.789 0.195
0.788 0.535 0.554
0.789 0.544 0.695
0.870 0.129 0.431
0.871 0.130 0.069
0.020 0.624 0.624
0.093 0.200 0.502
0.108 0.315 0.756
0.117 0.785 0.372
0.200 0.093 0.002
0.215 0.883 0.128
0.220 0.528 0.881
0.315 0.108 0.256
0.376 0.980 0.876
0.470 0.530 0.250
0.472 0.780 0.619
0.500 0.500 0.000
0.500 0.500 0.500
0.528 0.220 0.381
0.530 0.470 0.750
0.624 0.020 0.124
0.685 0.892 0.744
0.780 0.472 0.119
0.785 0.117 0.872
0.800 0.907 0.998
0.883 0.215 0.628
0.892 0.685 0.244
0.907 0.800 0.498
0.980 0.376 0.376
```

Properties
Crystal system: monoclinic
MP2020-corrected energy: -5.396 eV per atom
E above lowest polymorph: 0.0499 eV/atom
ΔE_f: -156.2 kJ/mol of atoms
Calculated total energy: -5.00 eV per atom

***

Record 7
VASP calculation (PBE) on a geometry-optimized SiH9C3Cl structure.

```
SiH9C3Cl
1.0
6.609 0.000 0.000
0.000 7.988 0.000
-0.126 0.000 6.920
Si H C Cl
2 18 6 2
direct
0.185 0.250 0.315
0.815 0.750 0.685
0.203 0.053 0.036
0.203 0.447 0.036
0.206 0.557 0.261
0.206 0.943 0.261
0.210 0.138 0.649
0.210 0.362 0.649
0.428 0.047 0.181
0.428 0.453 0.181
0.433 0.250 0.588
0.567 0.750 0.412
0.572 0.547 0.819
0.572 0.953 0.819
0.790 0.638 0.351
0.790 0.862 0.351
0.794 0.057 0.739
0.794 0.443 0.739
0.797 0.553 0.964
0.797 0.947 0.964
0.262 0.055 0.186
0.262 0.445 0.186
0.267 0.250 0.575
0.733 0.750 0.425
0.738 0.555 0.814
0.738 0.945 0.814
0.136 0.750 0.685
0.864 0.250 0.315
```

Properties
Crystal system: monoclinic
MP2020-corrected energy: -5.056 eV per atom
ΔE_f: -36.5 kJ/mol of atoms
Calculated total energy: -5.01 eV per atom

***

Record 8
VASP calculation (PBE) on a geometry-optimized SrNb2O4 structure.

```
SrNb2O4
1.0
5.152 0.000 0.000
0.000 12.615 0.000
0.000 0.000 5.954
Sr Nb O
4 8 16
direct
0.196 0.004 0.250
0.196 0.496 0.750
0.804 0.504 0.250
0.804 0.996 0.750
0.159 0.747 0.250
0.159 0.753 0.750
0.344 0.250 0.000
0.344 0.250 0.500
0.656 0.750 0.000
0.656 0.750 0.500
0.841 0.247 0.250
0.841 0.253 0.750
0.008 0.144 0.505
0.008 0.144 0.995
0.008 0.356 0.005
0.008 0.356 0.495
0.489 0.645 0.250
0.489 0.648 0.750
0.489 0.852 0.250
0.489 0.855 0.750
0.511 0.145 0.250
0.511 0.148 0.750
0.511 0.352 0.250
0.511 0.355 0.750
0.992 0.644 0.505
0.992 0.644 0.995
0.992 0.856 0.005
0.992 0.856 0.495
```

Properties
Crystal system: orthorhombic
MP2020-corrected energy: -8.943 eV per atom
ΔE_f: -288.4 kJ/mol of atoms
Calculated total energy: -8.55 eV per atom

***

Record 9
VASP calculation (PBE) on a geometry-optimized NaNb14O36 structure.

```
NaNb14O36
1.0
-1.942 7.254 13.366
1.942 -7.254 13.366
1.942 7.254 -13.366
Na Nb O
1 14 36
direct
0.000 0.000 0.000
0.018 0.398 0.620
0.098 0.293 0.806
0.188 0.188 0.000
0.222 0.602 0.620
0.317 0.500 0.817
0.394 0.394 0.000
0.487 0.293 0.194
0.513 0.707 0.806
0.606 0.606 0.000
0.683 0.500 0.183
0.778 0.398 0.380
0.812 0.812 0.000
0.902 0.707 0.194
0.982 0.602 0.380
0.019 0.117 0.902
0.047 0.340 0.707
0.062 0.562 0.500
0.066 0.774 0.292
0.135 0.232 0.904
0.150 0.449 0.702
0.164 0.664 0.500
0.215 0.117 0.098
0.239 0.338 0.901
0.253 0.551 0.702
0.298 0.000 0.298
0.328 0.232 0.096
0.346 0.445 0.901
0.368 0.660 0.707
0.386 0.886 0.500
0.436 0.338 0.099
0.457 0.555 0.901
0.482 0.774 0.708
0.518 0.226 0.292
0.543 0.445 0.099
0.564 0.662 0.901
0.614 0.114 0.500
0.632 0.340 0.293
0.654 0.555 0.099
0.672 0.768 0.904
0.702 0.000 0.702
0.747 0.449 0.298
0.761 0.662 0.099
0.785 0.883 0.902
0.836 0.336 0.500
0.850 0.551 0.298
0.865 0.768 0.096
0.934 0.226 0.708
0.938 0.438 0.500
0.953 0.660 0.293
0.981 0.883 0.098
```

Properties
Crystal system: orthorhombic
MP2020-corrected energy: -9.266 eV per atom
ΔE_f: -287.0 kJ/mol of atoms
Calculated total energy: -8.78 eV per atom

***

Record 10
VASP calculation (PBE) on a geometry-optimized Dy2In8Co structure.

```
Dy2In8Co
1.0
4.672 0.000 0.000
0.000 4.672 0.000
0.000 0.000 11.866
Dy In Co
2 8 1
direct
0.000 0.000 0.192
0.000 0.000 0.808
0.000 0.500 0.000
0.000 0.500 0.379
0.000 0.500 0.621
0.500 0.000 0.000
0.500 0.000 0.379
0.500 0.000 0.621
0.500 0.500 0.193
0.500 0.500 0.807
0.000 0.000 0.500
```

Properties
Crystal system: tetragonal
ΔE_f: -27.7 kJ/mol of atoms
Calculated total energy: -3.77 eV per atom